This record from the Materials Project database describes a relaxed structure of Na6Ca6Ti2SiS11O48. The functional is GGA-PBE.

Calculated values
The formation energy is -2.4863 eV per atom. For the total moment, the calculation gives 0.000 μB per atom. The value obtained for the mass density is 2.385 Mg/m³. As for the space group: P1, No. 1.

Cell: 18.2429 9.1027 23.5468 Å, 90.12 90.02 119.90°
With the nearest neighbours (Å) after each atom.
Positions (direct):
O1 0.7702 0.6505 0.8633  1 S 1.46
O2 0.2493 0.3631 0.4180  1 S 1.51
O3 0.8104 0.1176 0.4111  1 S 1.48
O4 0.2331 0.3557 0.1349  1 S 1.48
O5 0.8351 0.5386 0.5342  1 S 1.47
O6 0.4445 0.5381 0.1351  1 S 1.48
O7 0.7577 0.8520 0.7546  1 Si 1.58
O8 0.9812 0.7837 0.8003  1 S 1.50
O9 0.4109 0.8387 0.9026  1 S 1.54
O10 0.6726 0.8883 0.8641  1 S 1.46
O11 0.9953 0.2037 0.2987  1 S 1.46
O12 0.2329 0.1408 0.5357  1 S 1.46
O13 0.0906 0.1753 0.0951  1 S 1.50
O14 0.9189 0.0142 0.0944  1 S 1.54
O15 0.2572 0.8482 0.0803  1 S 1.51
O16 0.6095 0.0210 0.3024  1 S 1.47
O17 0.8929 0.9745 0.4107  1 S 1.46
O18 0.0946 0.1971 0.4171  1 S 1.48
O19 0.7451 0.3706 0.4095  1 S 1.47
O20 0.7373 0.3010 0.7454  1 S 1.53
O21 0.7656 0.8537 0.0797  1 S 1.48
O22 0.0776 0.4630 0.2437  1 S 1.49
O23 0.2573 0.6459 0.5869  1 S 1.50
O24 0.6621 0.4658 0.4634  1 S 1.46
O25 0.7363 0.1412 0.2488  1 S 1.48
O26 0.8485 0.1881 0.7386  1 Si 1.74, 1 Ti 1.78
O27 0.5951 0.1807 0.0832  1 S 1.49
O28 0.4089 0.0021 0.0860  1 S 1.50
O29 0.0615 0.6596 0.7582  1 S 1.46
O30 0.0719 0.6747 0.0823  1 S 1.48
O31 0.4097 0.7985 0.5866  1 S 1.50
O32 0.9202 0.0253 0.7999  1 Si 1.75, 1 Ti 1.79
O33 0.1923 0.8847 0.5895  1 S 1.50
O34 0.9305 0.5108 0.4157  1 S 1.49
O35 0.7692 0.8652 0.4688  1 S 1.47
O36 0.5606 0.4903 0.5905  1 S 1.48
O37 0.5612 0.6584 0.7581  1 S 1.46
O38 0.6925 0.8858 0.5882  1 S 1.50
O39 0.5086 0.1783 0.9020  1 S 1.56
O40 0.2629 0.6817 0.2498  1 S 1.49
O41 0.0036 0.1915 0.1955  1 S 1.52
O42 0.4954 0.2128 0.3047  1 S 1.46
O43 0.8915 0.9861 0.6863  1 Si 1.58
O44 0.6040 0.2166 0.6979  1 S 1.46
O45 0.7345 0.1455 0.9190  1 S 1.49
O46 0.6461 0.8737 0.9659  1 S 1.48
O47 0.1074 0.1772 0.8002  1 S 1.50
O48 0.4849 0.1814 0.5907  1 S 1.49
O49 0.0800 0.9857 0.9027  1 S 1.51
O50 0.5559 0.4584 0.8626  1 S 1.45
O51 0.0076 0.8204 0.4179  1 S 1.48
O52 0.8264 0.1049 0.1368  1 S 1.46
O53 0.3486 0.1872 0.7390  1 Si 1.74, 1 Ti 1.78
O54 0.2330 0.1444 0.9168  1 S 1.49
O55 0.9013 0.8322 0.1949  1 Si 1.73, 1 Ti 1.79
O56 0.1404 0.8316 0.2442  1 S 1.50
O57 0.3387 0.1211 0.0321  1 S 1.47
O58 0.2939 0.7092 0.9689  1 S 1.49
O59 0.1645 0.4568 0.4698  1 S 1.47
O60 0.7218 0.3437 0.1399  1 S 1.49
O61 0.0634 0.4188 0.9649  1 S 1.47
O62 0.2466 0.1498 0.6392  1 S 1.52
O63 0.1088 0.0191 0.2997  1 S 1.46
O64 0.5070 0.7924 0.6980  1 S 1.46
O65 0.1738 0.4680 0.3666  1 S 1.48
O66 0.4099 0.5249 0.7430  1 S 1.54
O67 0.9255 0.3432 0.6391  1 S 1.53
O68 0.4360 0.5136 0.4113  1 S 1.49
O69 0.9103 0.5254 0.7435  1 S 1.54
O70 0.0080 0.1777 0.9024  1 S 1.55
O71 0.9150 0.7857 0.3036  1 Si 1.57
O72 0.3385 0.5235 0.2488  1 S 1.48
O73 0.8537 0.1297 0.0347  1 S 1.47
O74 0.5868 0.4900 0.2627  1 S 1.53
O75 0.0559 0.4577 0.8629  1 S 1.45
O76 0.5716 0.6606 0.3629  1 S 1.50
O77 0.5098 0.8168 0.4103  1 S 1.49
O78 0.5918 0.2130 0.4081  1 S 1.47
O79 0.6073 0.0242 0.5900  1 S 1.47
O80 0.2379 0.3022 0.7446  1 S 1.54
O81 0.3304 0.1364 0.4191  1 S 1.48
O82 0.9829 0.1817 0.5905  1 S 1.48
O83 0.7297 0.3245 0.0366  1 S 1.47
O84 0.3260 0.1067 0.1352  1 S 1.47
O85 0.6637 0.4596 0.7584  1 S 1.46
O86 0.1451 0.8748 0.9654  1 S 1.49
O87 0.0582 0.4902 0.5893  1 S 1.48
O88 0.6064 0.1762 0.8005  1 S 1.51
O89 0.3940 0.7792 0.3030  1 S 1.49
O90 0.6726 0.4899 0.0801  1 S 1.48
O91 0.5813 0.9869 0.9035  1 S 1.51
O92 0.1646 0.4605 0.7580  1 S 1.46
O93 0.4872 0.8028 0.0859  1 S 1.50
O94 0.3915 0.9859 0.6861  1 Si 1.58
O95 0.1041 0.2170 0.6976  1 S 1.46
O96 0.7554 0.6906 0.2635  1 Si 1.70, 1 Ti 1.84
O97 0.9114 0.8381 0.9014  1 S 1.55
O98 0.5640 0.4193 0.9645  1 S 1.47
O99 0.0071 0.7934 0.6980  1 S 1.46
O100 0.0842 0.9879 0.1972  1 S 1.53
O101 0.4274 0.3222 0.9175  1 S 1.48
O102 0.2671 0.8732 0.3686  1 S 1.47
O103 0.2681 0.6548 0.8672  1 S 1.45
O104 0.9480 0.5512 0.1411  1 S 1.48
O105 0.4270 0.3421 0.6396  1 S 1.51
O106 0.2754 0.8696 0.4723  1 S 1.48
O107 0.7461 0.1499 0.6382  1 S 1.52
O108 0.4303 0.3221 0.5366  1 S 1.47
O109 0.9265 0.3198 0.5359  1 S 1.47
O110 0.5706 0.6599 0.0784  1 S 1.48
O111 0.5663 0.6774 0.4663  1 S 1.47
O112 0.4006 0.9668 0.4176  1 S 1.51
O113 0.6600 0.8360 0.2649  1 S 1.51
O114 0.7921 0.7127 0.9648  1 S 1.47
O115 0.2128 0.2975 0.0335  1 S 1.48
O116 0.4332 0.3401 0.2480  1 S 1.47
O117 0.6022 0.9570 0.2013  1 S 1.47
O118 0.9275 0.3230 0.9177  1 S 1.48
O119 0.4809 0.7825 0.8002  1 S 1.50
O120 0.0663 0.6701 0.4641  1 S 1.48
O121 0.9939 0.8250 0.0968  1 S 1.54
O122 0.3306 0.5188 0.6340  1 S 1.49
O123 0.9261 0.3165 0.2419  1 S 1.48
O124 0.7565 0.6439 0.5881  1 S 1.50
O125 0.4313 0.5469 0.0326  1 S 1.48
O126 0.1074 0.0234 0.5913  1 S 1.47
O127 0.0554 0.6598 0.3602  1 S 1.49
O128 0.8402 0.5342 0.9186  1 S 1.48
O129 0.2283 0.1388 0.2383  1 S 1.47
O130 0.7535 0.8455 0.3656  1 S 1.55
O131 0.1707 0.8852 0.8637  1 S 1.46
O132 0.8294 0.5200 0.6379  1 S 1.50
O133 0.7326 0.1416 0.5344  1 S 1.46
O134 0.9086 0.7948 0.5876  1 S 1.49
O135 0.8300 0.5123 0.2420  1 Si 1.61
O136 0.3395 0.5336 0.9182  1 S 1.48
O137 0.6707 0.4864 0.3595  1 S 1.54
O138 0.9337 0.5733 0.0383  1 S 1.47
O139 0.1715 0.4846 0.0795  1 S 1.50
O140 0.2582 0.8514 0.7549  1 Si 1.58
O141 0.3931 0.7941 0.1990  1 S 1.48
O142 0.5257 0.2463 0.2037  1 S 1.48
O143 0.4208 0.0254 0.8000  1 Si 1.75, 1 Ti 1.79
O144 0.3376 0.5491 0.5300  1 S 1.48
Si1 0.3519 0.9994 0.7443  4 O 1.58-1.75
Si2 0.8514 0.0003 0.7441  4 O 1.58-1.75
Si3 0.8510 0.7045 0.2529  4 O 1.57-1.73
S1 0.1581 0.9711 0.9119  4 O 1.46-1.51
S2 0.1510 0.2891 0.7500  4 O 1.46-1.54
S3 0.1419 0.9975 0.2458  4 O 1.46-1.53
S4 0.4840 0.6349 0.0829  4 O 1.48-1.50
S5 0.0156 0.6661 0.4147  4 O 1.48-1.49
S6 0.3327 0.0241 0.0832  4 O 1.47-1.51
S7 0.0146 0.3521 0.9119  4 O 1.45-1.55
S8 0.9744 0.3354 0.5878  4 O 1.47-1.53
S9 0.4766 0.3356 0.5891  4 O 1.47-1.51
S10 0.1937 0.0502 0.5883  4 O 1.46-1.52
S11 0.6804 0.3357 0.0842  4 O 1.47-1.49
S12 0.3337 0.6248 0.5849  4 O 1.48-1.50
S13 0.5222 0.6669 0.4130  4 O 1.47-1.50
S14 0.5068 0.3173 0.2547  4 O 1.46-1.53
S15 0.9860 0.6500 0.0890  4 O 1.47-1.54
S16 0.3168 0.9622 0.4194  4 O 1.47-1.51
S17 0.6507 0.2888 0.7503  4 O 1.46-1.53
S18 0.3249 0.6791 0.9141  4 O 1.45-1.54
S19 0.8244 0.6780 0.9123  4 O 1.46-1.55
S20 0.6595 0.9724 0.9130  4 O 1.46-1.51
S21 0.6512 0.9904 0.2540  4 O 1.47-1.51
S22 0.5147 0.3532 0.9119  4 O 1.45-1.56
S23 0.6675 0.3824 0.4118  4 O 1.46-1.54
S24 0.8383 0.0267 0.0859  4 O 1.46-1.54
S25 0.0005 0.2922 0.2460  4 O 1.46-1.52
S26 0.8328 0.6215 0.5870  4 O 1.47-1.50
S27 0.1770 0.3262 0.0857  4 O 1.48-1.50
S28 0.1685 0.3702 0.4179  4 O 1.47-1.51
S29 0.4925 0.6954 0.7499  4 O 1.46-1.54
S30 0.8086 0.9542 0.4159  4 O 1.46-1.55
S31 0.3474 0.6947 0.2498  4 O 1.48-1.49
S32 0.6937 0.0515 0.5872  4 O 1.46-1.52
S33 0.9927 0.6961 0.7500  4 O 1.46-1.54
Ca1 0.1682 0.6722 0.8155  6 O 2.18-2.33
Ca2 0.6672 0.6688 0.0107  6 O 2.34-2.38
Ca3 0.1666 0.6663 0.3145  6 O 2.24-2.44
Ca4 0.6683 0.6735 0.8157  6 O 2.18-2.33
Ca5 0.3286 0.3236 0.9831  6 O 2.26-2.38
Ca6 0.1599 0.6590 0.5215  6 O 2.22-2.43
Ca7 0.5051 0.0076 0.1522  6 O 2.28-2.35
Ca8 0.0027 0.9987 0.6510  6 O 2.14-2.35
Ca9 0.1612 0.6687 0.0110  6 O 2.31-2.47
Ca10 0.4987 0.0012 0.3491  6 O 2.22-2.31
Ca11 0.3359 0.3331 0.4813  6 O 2.20-2.40
Ca12 0.5031 0.9979 0.6515  6 O 2.14-2.35
Ca13 0.3346 0.3317 0.1819  6 O 2.24-2.35
Ca14 0.0010 0.0020 0.3520  6 O 2.13-2.32
Ca15 0.8306 0.3275 0.1793  6 O 2.22-2.37
Ca16 0.8318 0.3379 0.4781  6 O 2.23-2.42
Ca17 0.6613 0.6585 0.5227  6 O 2.25-2.41
Ca18 0.8349 0.3327 0.9847  6 O 2.25-2.39
Na1 0.1681 0.6684 0.1647  6 O 2.57-2.64
Na2 0.0060 0.0036 0.9994  6 O 2.69-2.82
Na3 0.8369 0.9625 0.5955  5 O 2.32-2.52
Na4 0.3471 0.6647 0.4140  4 O 2.42-2.60
Na5 0.6622 0.6730 0.1572  3 O 2.46-2.55
Na6 0.6701 0.6688 0.6766  5 O 2.46-2.74
Na7 0.8362 0.3363 0.3348  6 O 2.52-2.79
Na8 0.0096 0.9933 0.4963  2 O 2.41-2.55
Na9 0.1695 0.6689 0.6760  6 O 2.48-2.76
Na10 0.8290 0.3311 0.8372  6 O 2.58-2.77
Na11 0.3315 0.3228 0.3304  6 O 2.61-2.81
Na12 0.5123 0.0151 0.9999  5 O 2.47-2.76
Na13 0.3366 0.9623 0.5946  5 O 2.34-2.50
Na14 0.5119 0.0131 0.5006  6 O 2.69-2.80
Na15 0.3301 0.3317 0.8374  6 O 2.56-2.77
Na16 0.3330 0.6910 0.0822  4 O 2.44-2.59
Na17 0.6840 0.3623 0.2454  1 O 2.31
Na18 0.9912 0.6347 0.2540  4 O 2.41-2.66
Ti1 0.9912 0.0019 0.8465  3 O 1.79-1.97
Ti2 0.6757 0.6766 0.3146  5 O 1.84-2.06
Ti3 0.9877 0.9853 0.1535  2 O 1.79-1.98
Ti4 0.8353 0.3279 0.6921  1 O 1.78
Ti5 0.4924 0.0047 0.8469  3 O 1.79-2.00
Ti6 0.3344 0.3255 0.6929  1 O 1.78